[1]
Nd5In11Ni6 (GGA-PBE, relaxed); total moment = 0.0000 μB per atom; symmetry = Cmmm, No. 65
1.0
7.3238 -7.3486 0.0000
7.3238 7.3486 0.0000
0.0000 0.0000 4.4114
Nd In Ni
5 11 6
Cartesian
0.0000 0.0000 0.0000
4.7822 2.0085 2.2057
4.7822 -2.0085 2.2057
9.8655 2.0085 2.2057
9.8655 -2.0085 2.2057
5.0335 4.5158 0.0000
7.3238 4.4673 2.2057
3.2948 0.0000 0.0000
7.3238 2.3586 0.0000
9.6141 4.5158 0.0000
7.3238 0.0000 2.2057
5.0335 -4.5158 0.0000
7.3238 -2.3586 0.0000
11.3528 0.0000 0.0000
7.3238 -4.4673 2.2057
9.6141 -4.5158 0.0000
2.0174 1.2200 2.2057
2.0174 -1.2200 2.2057
5.9464 0.0000 0.0000
8.7012 0.0000 0.0000
12.6303 1.2200 2.2057
12.6303 -1.2200 2.2057

***

[2]
Tm4C7 (GGA-PBE, relaxed); symmetry = P2_1/c, No. 14
1.0
3.6476 0.0000 0.0000
0.0000 13.6034 0.0000
-1.6516 0.0000 6.1354
Tm C
8 14
Cartesian
-0.0635 2.1894 0.9845
-0.8893 4.6123 4.0522
0.1091 0.7439 4.5360
0.9349 6.0578 1.4683
1.0610 7.5456 4.6671
1.8869 12.8595 1.5994
2.8853 8.9911 2.0832
2.0595 11.4140 5.1509
0.0000 0.0000 0.0000
-0.8258 6.8017 3.0677
0.8795 8.2270 0.2866
0.0537 12.1781 3.3543
1.3102 9.4913 0.2744
0.4844 10.9138 3.3421
0.1549 2.9164 5.6639
0.9808 3.8853 2.5962
1.0152 9.7181 3.5392
1.8410 10.6870 0.4715
1.5116 2.6896 2.7933
0.6858 4.1121 5.8610
1.9423 1.4253 2.7811
1.1165 5.3764 5.8488

***

Values of final energy, in order: -4.4449; -7.8136, all in eV per atom.
Values of ρ, in order: 8.17; 8.29, all in g cm⁻³.
Values of calculated volume, in order: 21.6; 13.8, all in A^3/atom.